Material: Sm3Hg
Method: DFT, r2SCAN
State: relaxed

```
Sm3Hg
1.0
6.999 0.000 0.000
-3.500 6.061 0.000
0.000 0.000 5.475
Sm Hg
6 2
Direct
0.176 0.352 0.250
0.648 0.824 0.250
0.176 0.824 0.250
0.824 0.648 0.750
0.352 0.176 0.750
0.824 0.176 0.750
0.333 0.667 0.750
0.667 0.333 0.250
```

Computed properties:
Electronic total energy ... -34.8638 eV per atom
V ... 29.0 A^3/atom
Spin magnetization ... 1.10 μB per formula unit